one.
14
Lattice="5.252 -3.024 -0.608 1.599 -4.186 4.126 -0.041 -5.908 -1.482" Properties=species:S:1:pos:R:3 comment="Li2MnF4, relaxed, DFT PBE+U" magmom_total_mub_per_fu=5.00 sg=Fd-3m density_g_cm3=3.0 pbc="T T T"
Li 4.277 -5.245 2.013
Li 4.257 -8.199 1.272
Li 3.457 -6.106 -0.791
Li 1.631 -6.687 1.576
Mn 1.703 -3.279 0.509
Mn 0.000 0.000 0.000
F 5.907 -8.634 2.439
F 5.156 -9.423 -0.131
F 5.889 -11.341 1.760
F 3.482 -9.956 2.038
F 5.032 -6.442 0.506
F 2.625 -5.056 0.785
F 3.358 -6.974 2.675
F 2.607 -7.763 0.105

two.
14
Lattice="2.739 4.745 0.000 -2.739 4.745 0.000 0.000 0.048 6.134" Properties=species:S:1:pos:R:3 comment="Li2MnF4, relaxed, DFT PBE+U" magmom_total_mub_per_fu=5.00 sg=C2 density_g_cm3=3.0 piezo_max_c_m2=0.413 pbc="T T T"
Li -0.216 3.231 1.016
Li -2.606 4.769 3.067
Li -2.616 4.745 0.000
Li -0.216 6.307 5.119
Mn 0.337 3.334 4.137
Mn 0.337 6.204 1.997
F 0.677 2.220 5.832
F -0.414 2.165 2.616
F -1.223 4.678 4.546
F 1.453 5.058 4.581
F 1.453 4.480 1.553
F -1.223 4.860 1.588
F -0.414 7.372 3.518
F 0.677 7.318 0.302

In meV/atom, relative to the most stable structure: one 0; two 29.

one.
14
Lattice="3.238 0.000 0.000 0.000 5.237 0.000 0.000 4.077 9.730" Properties=species:S:1:pos:R:3 comment="Li2MnF4, relaxed, DFT PBE+U" magmom_total_mub_per_fu=5.00 sg=Pc density_g_cm3=2.9 piezo_max_c_m2=0.161 pbc="T T T"
Li 1.738 5.536 9.006
Li 1.735 5.776 5.617
Li 1.503 3.737 0.752
Li 1.500 3.498 4.141
Mn 3.155 6.235 2.443
Mn 0.083 8.273 7.308
F 0.119 4.802 8.416
F 1.539 5.410 3.679
F 0.117 6.597 6.084
F 1.700 7.448 8.544
F 1.534 1.827 1.199
F 3.119 2.763 3.551
F 1.705 3.866 6.064
F 3.121 4.558 1.219

two.
56
Lattice="7.415 0.000 0.000 0.000 8.936 0.000 0.000 0.000 9.958" Properties=species:S:1:pos:R:3 comment="Li2MnF4, relaxed, DFT PBE+U" magmom_total_mub_per_fu=5.00 sg=Pna2_1 density_g_cm3=2.9 pbc="T T T"
Li 6.016 2.277 0.913
Li 1.593 2.239 1.064
Li 5.846 8.245 1.340
Li 1.961 8.260 1.558
Li 5.668 3.792 3.421
Li 2.139 3.777 3.639
Li 5.300 6.706 3.915
Li 2.308 6.744 4.066
Li 5.106 2.277 5.892
Li 2.115 2.239 6.043
Li 5.276 8.245 6.319
Li 1.746 8.260 6.537
Li 5.454 3.792 8.400
Li 1.568 3.777 8.618
Li 5.822 6.706 8.894
Li 1.399 6.744 9.045
Mn 3.597 5.179 1.127
Mn 7.351 5.734 1.918
Mn 3.643 1.266 3.060
Mn 7.304 0.711 3.852
Mn 0.110 5.179 6.106
Mn 3.771 5.734 6.897
Mn 0.064 1.266 8.039
Mn 3.818 0.711 8.831
F 0.144 1.635 0.110
F 2.102 3.904 0.427
F 2.552 6.878 0.513
F 2.899 0.854 0.874
F 6.418 3.903 1.694
F 0.155 7.969 2.226
F 5.544 0.967 2.211
F 5.147 6.473 1.993
F 1.440 2.005 2.986
F 1.837 5.435 2.768
F 3.862 3.501 2.753
F 2.711 8.370 3.285
F 6.606 5.322 4.105
F 6.259 2.410 4.466
F 5.810 8.372 4.552
F 3.852 6.103 4.869
F 3.563 1.635 5.089
F 1.605 3.904 5.406
F 1.155 6.878 5.492
F 0.808 0.854 5.853
F 4.704 3.903 6.673
F 3.553 7.969 7.205
F 5.578 0.967 7.190
F 5.975 6.473 6.972
F 2.268 2.005 7.965
F 1.871 5.435 7.747
F 7.260 3.501 7.732
F 0.997 8.370 8.264
F 4.516 5.322 9.084
F 4.863 2.410 9.445
F 5.312 8.372 9.531
F 7.271 6.103 9.848

In meV/atom, relative to the most stable structure: one 0; two 27.

one.
11
Lattice="-5.032 1.432 -0.684 3.295 -0.258 -4.194 3.073 -6.612 2.969" Properties=species:S:1:pos:R:3 comment="MgTiZn2WO6, relaxed, DFT PBE+U" magmom_total_mub_per_fu=3.97 sg=P1 density_g_cm3=6.4 pbc="T T T"
Mg 0.777 -5.569 1.219
Ti -0.141 -1.667 -3.271
Zn 2.016 -2.851 -1.408
Zn -1.132 -3.527 -0.440
W 3.215 -0.293 -4.125
O -1.507 -0.341 -3.244
O -2.381 -3.403 1.066
O 0.826 -1.145 -1.563
O 3.289 -4.549 -1.557
O -2.123 -0.622 -0.342
O 0.727 -4.047 -0.179

two.
11
Lattice="2.361 -2.476 -4.275 0.699 5.208 0.325 0.473 0.469 8.584" Properties=species:S:1:pos:R:3 comment="MgTiZn2WO6, relaxed, DFT PBE+U" magmom_total_mub_per_fu=2.00 sg=P1 density_g_cm3=6.2 pbc="T T T"
Mg 1.241 0.148 2.911
Ti 2.482 2.696 1.442
Zn 1.941 -0.141 -2.516
Zn 1.797 2.960 6.942
W 0.800 5.024 0.190
O 0.752 3.966 2.097
O 0.550 1.352 6.539
O 1.228 1.312 0.998
O 1.969 4.358 5.131
O 1.811 -1.448 -0.757
O 2.602 1.608 3.264

In meV/atom, relative to the most stable structure: one 16; two 0.